The following is a DFT calculation (meta-GGA r2SCAN) of crystalline TbMn2O5 at its relaxed geometry.

CIF file:
```
data_TbMn2O5
_cell_length_a 7.268
_cell_length_b 8.494
_cell_length_c 5.685
_cell_angle_alpha 90.00
_cell_angle_beta 90.00
_cell_angle_gamma 90.00
_symmetry_space_group_name_H-M 'P 1'
_symmetry_Int_Tables_number 1
_symmetry_space_group_name_Hall 'P 1'
loop_
_atom_site_label
_atom_site_type_symbol
_atom_site_fract_x
_atom_site_fract_y
_atom_site_fract_z
Tb1 Tb 0.138 0.171 0.000
Tb2 Tb 0.362 0.671 0.000
Tb3 Tb 0.638 0.329 0.000
Tb4 Tb 0.862 0.829 0.000
Mn1 Mn 0.000 0.500 0.255
Mn2 Mn 0.000 0.500 0.745
Mn3 Mn 0.088 0.850 0.500
Mn4 Mn 0.412 0.350 0.500
Mn5 Mn 0.500 0.000 0.255
Mn6 Mn 0.500 0.000 0.745
Mn7 Mn 0.588 0.650 0.500
Mn8 Mn 0.912 0.150 0.500
O1 O 0.000 0.000 0.272
O2 O 0.000 0.000 0.728
O3 O 0.105 0.706 0.244
O4 O 0.105 0.706 0.756
O5 O 0.153 0.434 0.500
O6 O 0.163 0.444 0.000
O7 O 0.337 0.944 0.000
O8 O 0.347 0.934 0.500
O9 O 0.395 0.206 0.244
O10 O 0.395 0.206 0.756
O11 O 0.500 0.500 0.272
O12 O 0.500 0.500 0.728
O13 O 0.605 0.794 0.244
O14 O 0.605 0.794 0.756
O15 O 0.653 0.066 0.500
O16 O 0.663 0.056 0.000
O17 O 0.837 0.556 0.000
O18 O 0.847 0.566 0.500
O19 O 0.895 0.294 0.244
O20 O 0.895 0.294 0.756
```

## Properties
For the total energy, the calculation gives -450.8 eV per cell. For the formation energy, the calculation gives -268.2 kJ/mol of atoms. The calculation puts the total magnetic moment at 0.875 μB/atom. Its volume is 10.968 A^3/atom.